[1]
An optimized crystal structure of Ba2MgCuP2O8. Source: Materials Project, functional PBE-GGA.

Geometry as CIF:
```
data_Ba2MgCuP2O8
_cell_length_a 5.8969
_cell_length_b 9.4090
_cell_length_c 6.7624
_cell_angle_alpha 109.82
_cell_angle_beta 84.96
_cell_angle_gamma 127.85
_symmetry_space_group_name_H-M 'P 1'
_symmetry_Int_Tables_number 1
_symmetry_space_group_name_Hall 'P 1'
loop_
_atom_site_label
_atom_site_type_symbol
_atom_site_fract_x
_atom_site_fract_y
_atom_site_fract_z
O1 O 0.2566 0.2862 0.5125
O2 O 0.1534 0.6930 0.4195
O3 O 0.2995 0.5288 0.8680
O4 O 0.7434 0.7138 0.4875
Cu1 Cu 0.5000 0.0000 0.5000
O5 O 0.7005 0.4712 0.1320
O6 O 0.0351 0.8364 0.2169
O7 O 0.8466 0.3070 0.5805
P1 P 0.9066 0.6716 0.3079
Ba1 Ba 0.1614 0.3949 0.2132
Ba2 Ba 0.8385 0.6051 0.7868
O8 O 0.9649 0.1636 0.7831
P2 P 0.0934 0.3284 0.6921
Mg1 Mg 0.0000 0.0000 0.5000
```

Results
E (MP2020) in eV per atom: -6.9300
Formation energy in eV/atom: -2.648
Magnetization in μB/atom: 0.001
Distance to the lowest polymorph of the same formula in eV per atom: 0.0394

[2]
An optimized crystal structure of Na3Al2P2O8F3. Source: Materials Project, functional PBE-GGA.

Geometry as CIF:
```
data_Na3Al2P2O8F3
_cell_length_a 6.8850
_cell_length_b 6.8850
_cell_length_c 8.8569
_cell_angle_alpha 90.00
_cell_angle_beta 90.00
_cell_angle_gamma 99.71
_symmetry_space_group_name_H-M 'P 1'
_symmetry_Int_Tables_number 1
_symmetry_space_group_name_Hall 'P 1'
loop_
_atom_site_label
_atom_site_type_symbol
_atom_site_fract_x
_atom_site_fract_y
_atom_site_fract_z
Na1 Na 0.7612 0.7612 0.2219
O1 O 0.7418 0.0631 0.6541
O2 O 0.2634 0.9365 0.8485
Al1 Al 0.4261 0.0661 0.0044
O3 O 0.7579 0.4353 0.6477
Na2 Na 0.2388 0.2388 0.7219
P1 P 0.7476 0.2511 0.2484
O4 O 0.2382 0.5608 0.8481
F1 F 0.4012 0.1120 0.5045
O5 O 0.9365 0.2634 0.8485
F2 F 0.8880 0.5988 0.0045
Al2 Al 0.9339 0.5739 0.5044
O6 O 0.4392 0.7618 0.3481
Al3 Al 0.5739 0.9339 0.5044
P2 P 0.2524 0.7489 0.7484
Al4 Al 0.0661 0.4261 0.0044
F3 F 0.2498 0.2498 0.9961
P3 P 0.7489 0.2524 0.7484
P4 P 0.2511 0.7476 0.2484
O7 O 0.0631 0.7418 0.6541
F4 F 0.1120 0.4012 0.5045
O8 O 0.9369 0.2582 0.1541
Na3 Na 0.4746 0.4746 0.4891
O9 O 0.0635 0.7366 0.3485
O10 O 0.5647 0.2421 0.1477
O11 O 0.4353 0.7579 0.6477
Na4 Na 0.8887 0.8887 0.8556
Na5 Na 0.1113 0.1113 0.3556
O12 O 0.7366 0.0635 0.3485
O13 O 0.2421 0.5647 0.1477
O14 O 0.2582 0.9369 0.1541
O15 O 0.7618 0.4392 0.3481
O16 O 0.5608 0.2382 0.8481
F5 F 0.7502 0.7502 0.4961
F6 F 0.5988 0.8880 0.0045
Na6 Na 0.5254 0.5254 0.9891
```

Results
E (MP2020) in eV per atom: -6.8332
Formation energy in eV/atom: -3.077
Magnetization in μB/atom: 0.000
Distance to the lowest polymorph of the same formula in eV per atom: 0.0000

[3]
An optimized crystal structure of AcTh3. Source: Materials Project, functional PBE-GGA.

Geometry as CIF:
```
data_AcTh3
_cell_length_a 7.3205
_cell_length_b 7.3205
_cell_length_c 6.0115
_cell_angle_alpha 90.00
_cell_angle_beta 90.00
_cell_angle_gamma 120.00
_symmetry_space_group_name_H-M 'P 1'
_symmetry_Int_Tables_number 1
_symmetry_space_group_name_Hall 'P 1'
loop_
_atom_site_label
_atom_site_type_symbol
_atom_site_fract_x
_atom_site_fract_y
_atom_site_fract_z
Th1 Th 0.1610 0.3220 0.2500
Th2 Th 0.1610 0.8390 0.2500
Th3 Th 0.8390 0.6780 0.7500
Th4 Th 0.3220 0.1610 0.7500
Th5 Th 0.6780 0.8390 0.2500
Th6 Th 0.8390 0.1610 0.7500
Ac1 Ac 0.3333 0.6667 0.7500
Ac2 Ac 0.6667 0.3333 0.2500
```

Results
Formation energy in eV/atom: 0.133
Magnetization in μB/atom: 0.000

[4]
An optimized crystal structure of SrBiO3. Source: Materials Project, functional PBE-GGA.

Geometry as CIF:
```
data_SrBiO3
_cell_length_a 6.2039
_cell_length_b 6.0111
_cell_length_c 10.4900
_cell_angle_alpha 55.08
_cell_angle_beta 90.00
_cell_angle_gamma 90.00
_symmetry_space_group_name_H-M 'P 1'
_symmetry_Int_Tables_number 1
_symmetry_space_group_name_Hall 'P 1'
loop_
_atom_site_label
_atom_site_type_symbol
_atom_site_fract_x
_atom_site_fract_y
_atom_site_fract_z
O1 O 0.0446 0.8462 0.2606
Bi1 Bi 0.0000 0.5000 0.5000
O2 O 0.1933 0.2631 0.4463
Bi2 Bi 0.5000 0.0000 0.5000
O3 O 0.2877 0.6290 0.5598
Sr1 Sr 0.0510 0.7370 0.7490
O4 O 0.7123 0.3710 0.4402
O5 O 0.9554 0.1538 0.7394
O6 O 0.5446 0.1538 0.2394
O7 O 0.4554 0.8462 0.7606
O8 O 0.6933 0.7369 0.0537
Bi3 Bi 0.5000 0.5000 0.0000
O9 O 0.2123 0.6290 0.0598
Sr2 Sr 0.4490 0.7370 0.2490
O10 O 0.3067 0.2631 0.9463
O11 O 0.8067 0.7369 0.5537
Bi4 Bi 0.0000 0.0000 0.0000
Sr3 Sr 0.9490 0.2630 0.2510
Sr4 Sr 0.5510 0.2630 0.7510
O12 O 0.7877 0.3710 0.9402
```

Results
E (MP2020) in eV per atom: -6.3459
Formation energy in eV/atom: -2.261

[5]
An optimized crystal structure of BaSrLaBiO6. Source: Materials Project, functional PBE-GGA.

Geometry as CIF:
```
data_BaSrLaBiO6
_cell_length_a 6.1083
_cell_length_b 6.3215
_cell_length_c 8.7761
_cell_angle_alpha 90.00
_cell_angle_beta 89.47
_cell_angle_gamma 90.00
_symmetry_space_group_name_H-M 'P 1'
_symmetry_Int_Tables_number 1
_symmetry_space_group_name_Hall 'P 1'
loop_
_atom_site_label
_atom_site_type_symbol
_atom_site_fract_x
_atom_site_fract_y
_atom_site_fract_z
Bi1 Bi 0.0012 0.5008 0.0006
O1 O 0.6431 0.0364 0.7259
Ba1 Ba 0.4942 0.4662 0.7474
O2 O 0.1512 0.2036 0.9342
O3 O 0.7071 0.3338 0.0652
O4 O 0.7971 0.7649 0.0671
O5 O 0.9128 0.5640 0.7673
O6 O 0.4128 0.9360 0.2673
O7 O 0.2661 0.7105 0.9476
Sr1 Sr 0.5032 0.0147 0.9973
O8 O 0.7662 0.7895 0.4476
O9 O 0.2071 0.1662 0.5653
O10 O 0.1431 0.4637 0.2259
Bi2 Bi 0.5012 0.9992 0.5006
Ba2 Ba 0.9943 0.0338 0.2474
Sr2 Sr 0.0032 0.4853 0.4973
La1 La 0.0238 0.9377 0.7475
O11 O 0.2972 0.7352 0.5671
La2 La 0.5238 0.5623 0.2475
O12 O 0.6512 0.2964 0.4342
```

Results
E (MP2020) in eV per atom: -6.9779
Formation energy in eV/atom: -2.766
Magnetization in μB/atom: 0.000
Distance to the lowest polymorph of the same formula in eV per atom: 0.0217

[6]
An optimized crystal structure of LiAsXe3F12. Source: Materials Project, functional PBE-GGA.

Geometry as CIF:
```
data_LiAsXe3F12
_cell_length_a 13.8171
_cell_length_b 7.2287
_cell_length_c 7.2291
_cell_angle_alpha 88.26
_cell_angle_beta 90.00
_cell_angle_gamma 90.00
_symmetry_space_group_name_H-M 'P 1'
_symmetry_Int_Tables_number 1
_symmetry_space_group_name_Hall 'P 1'
loop_
_atom_site_label
_atom_site_type_symbol
_atom_site_fract_x
_atom_site_fract_y
_atom_site_fract_z
F1 F 0.6302 0.7812 0.5527
F2 F 0.0004 0.2227 0.2017
F3 F 0.0245 0.6540 0.5915
F4 F 0.5245 0.3460 0.4085
F5 F 0.7595 0.8041 0.7957
F6 F 0.1302 0.2188 0.4473
Xe1 Xe 0.6557 0.2880 0.2766
F7 F 0.6237 0.0329 0.7840
F8 F 0.5004 0.7773 0.7983
F9 F 0.1319 0.2068 0.9578
F10 F 0.8428 0.4792 0.5903
F11 F 0.1237 0.9671 0.2160
As1 As 0.1282 0.2120 0.2031
Xe2 Xe 0.3978 0.2688 0.8117
F12 F 0.6370 0.5437 0.8123
F13 F 0.1370 0.4563 0.1877
Xe3 Xe 0.3973 0.7730 0.3086
Xe4 Xe 0.8973 0.2270 0.6914
Li1 Li 0.8868 0.7275 0.6880
F14 F 0.2856 0.7647 0.8494
F15 F 0.9482 0.9710 0.7857
As2 As 0.6282 0.7880 0.7969
F16 F 0.2595 0.1959 0.2043
F17 F 0.9301 0.6087 0.9388
Li2 Li 0.3868 0.2725 0.3120
F18 F 0.3428 0.5208 0.4097
Xe5 Xe 0.8978 0.7312 0.1883
F19 F 0.7856 0.2353 0.1506
F20 F 0.6319 0.7932 0.0422
F21 F 0.4301 0.3913 0.0612
Xe6 Xe 0.1557 0.7120 0.7234
F22 F 0.4482 0.0290 0.2143
F23 F 0.3629 0.1460 0.5643
F24 F 0.8629 0.8540 0.4357
```

Results
E (MP2020) in eV per atom: -3.4353
Formation energy in eV/atom: -1.691
Magnetization in μB/atom: 0.000

[7]
An optimized crystal structure of Zr11Os4. Source: Materials Project, functional PBE-GGA.

Geometry as CIF:
```
data_Zr11Os4
_cell_length_a 9.5681
_cell_length_b 9.5681
_cell_length_c 9.5681
_cell_angle_alpha 60.00
_cell_angle_beta 60.00
_cell_angle_gamma 60.00
_symmetry_space_group_name_H-M 'P 1'
_symmetry_Int_Tables_number 1
_symmetry_space_group_name_Hall 'P 1'
loop_
_atom_site_label
_atom_site_type_symbol
_atom_site_fract_x
_atom_site_fract_y
_atom_site_fract_z
Os1 Os 0.5000 0.0000 0.0000
Zr1 Zr 0.8374 0.8374 0.8374
Zr2 Zr 0.6170 0.6170 0.1490
Zr3 Zr 0.7988 0.2012 0.2012
Os2 Os 0.0000 0.5000 0.0000
Zr4 Zr 0.2012 0.7988 0.2012
Zr5 Zr 0.6170 0.1490 0.6170
Zr6 Zr 0.3830 0.3830 0.3830
Os3 Os 0.0000 0.5000 0.5000
Os4 Os 0.0000 0.0000 0.5000
Zr7 Zr 0.1490 0.6170 0.6170
Os5 Os 0.5000 0.0000 0.5000
Zr8 Zr 0.4878 0.8374 0.8374
Os6 Os 0.5000 0.5000 0.0000
Zr9 Zr 0.5122 0.1626 0.1626
Zr10 Zr 0.8510 0.3830 0.3830
Zr11 Zr 0.6170 0.6170 0.6170
Zr12 Zr 0.8374 0.4878 0.8374
Zr13 Zr 0.1626 0.1626 0.1626
Zr14 Zr 0.7988 0.2012 0.7988
Zr15 Zr 0.3830 0.3830 0.8510
Os7 Os 0.5000 0.5000 0.5000
Zr16 Zr 0.1626 0.1626 0.5122
Zr17 Zr 0.7988 0.7988 0.2012
Zr18 Zr 0.3830 0.8510 0.3830
Zr19 Zr 0.2012 0.7988 0.7988
Zr20 Zr 0.1626 0.5122 0.1626
Zr21 Zr 0.8374 0.8374 0.4878
Os8 Os 0.0000 0.0000 0.0000
Zr22 Zr 0.2012 0.2012 0.7988
```

Results
Formation energy in eV/atom: -0.293

[8]
An optimized crystal structure of Dy2Fe17. Source: Materials Project, functional PBE-GGA.

Geometry as CIF:
```
data_Dy2Fe17
_cell_length_a 6.4063
_cell_length_b 6.4063
_cell_length_c 6.4063
_cell_angle_alpha 83.15
_cell_angle_beta 83.15
_cell_angle_gamma 83.15
_symmetry_space_group_name_H-M 'P 1'
_symmetry_Int_Tables_number 1
_symmetry_space_group_name_Hall 'P 1'
loop_
_atom_site_label
_atom_site_type_symbol
_atom_site_fract_x
_atom_site_fract_y
_atom_site_fract_z
Fe1 Fe 0.3442 0.3442 0.8448
Fe2 Fe 0.5000 0.0000 0.0000
Fe3 Fe 0.0000 0.2931 0.7069
Fe4 Fe 0.2931 0.0000 0.7069
Dy1 Dy 0.6582 0.6582 0.6582
Fe5 Fe 0.7069 0.2931 0.0000
Fe6 Fe 0.7069 0.0000 0.2931
Fe7 Fe 0.0000 0.7069 0.2931
Fe8 Fe 0.6558 0.1552 0.6558
Fe9 Fe 0.9024 0.9024 0.9024
Fe10 Fe 0.1552 0.6558 0.6558
Fe11 Fe 0.3442 0.8448 0.3442
Fe12 Fe 0.0976 0.0976 0.0976
Fe13 Fe 0.2931 0.7069 0.0000
Fe14 Fe 0.6558 0.6558 0.1552
Fe15 Fe 0.8448 0.3442 0.3442
Fe16 Fe 0.0000 0.0000 0.5000
Dy2 Dy 0.3418 0.3418 0.3418
Fe17 Fe 0.0000 0.5000 0.0000
```

Results
Formation energy in eV/atom: -0.008
Magnetization in μB/atom: 2.070

[9]
An optimized crystal structure of LiMg14TiO16. Source: Materials Project, functional PBE-GGA.

Geometry as CIF:
```
data_LiMg14TiO16
_cell_length_a 8.5196
_cell_length_b 8.5372
_cell_length_c 4.2395
_cell_angle_alpha 90.00
_cell_angle_beta 90.00
_cell_angle_gamma 90.00
_symmetry_space_group_name_H-M 'P 1'
_symmetry_Int_Tables_number 1
_symmetry_space_group_name_Hall 'P 1'
loop_
_atom_site_label
_atom_site_type_symbol
_atom_site_fract_x
_atom_site_fract_y
_atom_site_fract_z
O1 O 0.0000 0.0000 0.5000
O2 O 0.2492 0.2480 0.5000
O3 O 0.7508 0.2480 0.5000
Li1 Li 0.0000 0.5000 0.0000
O4 O 0.7437 0.5000 0.0000
Mg1 Mg 0.2500 0.2574 0.0000
Mg2 Mg 0.5000 0.2523 0.5000
O5 O 0.2563 0.5000 0.0000
O6 O 0.5000 0.5000 0.5000
O7 O 0.2492 0.7520 0.5000
Mg3 Mg 0.7500 0.2574 0.0000
Mg4 Mg 0.0000 0.2612 0.5000
O8 O 0.0000 0.5000 0.5000
Mg5 Mg 0.2530 0.0000 0.5000
O9 O 0.7508 0.7520 0.5000
O10 O 0.0000 0.2371 0.0000
O11 O 0.7532 0.0000 0.0000
O12 O 0.5000 0.2467 0.0000
Mg6 Mg 0.7470 0.0000 0.5000
Ti1 Ti 0.0000 0.0000 0.0000
Mg7 Mg 0.5000 0.7477 0.5000
O13 O 0.5000 0.0000 0.5000
O14 O 0.0000 0.7629 0.0000
Mg8 Mg 0.2441 0.5000 0.5000
Mg9 Mg 0.0000 0.7388 0.5000
Mg10 Mg 0.7559 0.5000 0.5000
Mg11 Mg 0.5000 0.5000 0.0000
O15 O 0.2468 0.0000 0.0000
Mg12 Mg 0.5000 0.0000 0.0000
Mg13 Mg 0.7500 0.7426 0.0000
O16 O 0.5000 0.7533 0.0000
Mg14 Mg 0.2500 0.7426 0.0000
```

Results
E (MP2020) in eV per atom: -6.4982
Formation energy in eV/atom: -3.018
Magnetization in μB/atom: 0.031
Distance to the lowest polymorph of the same formula in eV per atom: 0.0000

[10]
An optimized crystal structure of CeNi2Sb2. Source: Materials Project, functional PBE-GGA.

Geometry as CIF:
```
data_CeNi2Sb2
_cell_length_a 4.4935
_cell_length_b 4.4935
_cell_length_c 9.8240
_cell_angle_alpha 90.00
_cell_angle_beta 90.00
_cell_angle_gamma 90.00
_symmetry_space_group_name_H-M 'P 1'
_symmetry_Int_Tables_number 1
_symmetry_space_group_name_Hall 'P 1'
loop_
_atom_site_label
_atom_site_type_symbol
_atom_site_fract_x
_atom_site_fract_y
_atom_site_fract_z
Ni1 Ni 0.0000 0.0000 0.0000
Ni2 Ni 0.0000 0.5000 0.6194
Sb1 Sb 0.0000 0.0000 0.5000
Ni3 Ni 0.5000 0.5000 0.0000
Sb2 Sb 0.5000 0.5000 0.5000
Ni4 Ni 0.5000 0.0000 0.3806
Ce1 Ce 0.5000 0.0000 0.7606
Sb3 Sb 0.0000 0.5000 0.8732
Sb4 Sb 0.5000 0.0000 0.1268
Ce2 Ce 0.0000 0.5000 0.2394
```

Results
E (MP2020) in eV per atom: -5.8526
Formation energy in eV/atom: -0.702

[11]
An optimized crystal structure of SmScS3. Source: Materials Project, functional PBE-GGA.

Geometry as CIF:
```
data_SmScS3
_cell_length_a 6.4687
_cell_length_b 7.1250
_cell_length_c 9.5721
_cell_angle_alpha 90.00
_cell_angle_beta 90.00
_cell_angle_gamma 90.00
_symmetry_space_group_name_H-M 'P 1'
_symmetry_Int_Tables_number 1
_symmetry_space_group_name_Hall 'P 1'
loop_
_atom_site_label
_atom_site_type_symbol
_atom_site_fract_x
_atom_site_fract_y
_atom_site_fract_z
S1 S 0.1766 0.8117 0.0665
S2 S 0.6766 0.6883 0.5665
Sc1 Sc 0.5000 0.0000 0.5000
S3 S 0.8637 0.4575 0.2500
S4 S 0.1766 0.8117 0.4335
Sm1 Sm 0.9603 0.9008 0.7500
Sm2 Sm 0.5397 0.4008 0.7500
Sm3 Sm 0.4603 0.5992 0.2500
Sm4 Sm 0.0397 0.0992 0.2500
S5 S 0.3234 0.3117 0.0665
S6 S 0.3637 0.0425 0.7500
Sc2 Sc 0.5000 0.0000 0.0000
S7 S 0.1363 0.5425 0.7500
S8 S 0.6363 0.9575 0.2500
Sc3 Sc 0.0000 0.5000 0.5000
S9 S 0.6766 0.6883 0.9335
Sc4 Sc 0.0000 0.5000 0.0000
S10 S 0.8234 0.1883 0.9335
S11 S 0.8234 0.1883 0.5665
S12 S 0.3234 0.3117 0.4335
```

Results
E (MP2020) in eV per atom: -6.9905
Formation energy in eV/atom: -2.298

[12]
An optimized crystal structure of K5SnSb3. Source: Materials Project, functional PBE-GGA.

Geometry as CIF:
```
data_K5SnSb3
_cell_length_a 8.8843
_cell_length_b 9.9608
_cell_length_c 19.0112
_cell_angle_alpha 58.69
_cell_angle_beta 90.00
_cell_angle_gamma 90.00
_symmetry_space_group_name_H-M 'P 1'
_symmetry_Int_Tables_number 1
_symmetry_space_group_name_Hall 'P 1'
loop_
_atom_site_label
_atom_site_type_symbol
_atom_site_fract_x
_atom_site_fract_y
_atom_site_fract_z
Sn1 Sn 0.3568 0.5135 0.4133
K1 K 0.6594 0.8360 0.2406
Sb1 Sb 0.1880 0.5166 0.0662
Sn2 Sn 0.8568 0.4865 0.0867
Sb2 Sb 0.2662 0.8078 0.2726
Sb3 Sb 0.3120 0.5166 0.5662
K2 K 0.6720 0.1574 0.9205
Sb4 Sb 0.7662 0.1922 0.2274
Sb5 Sb 0.2371 0.2380 0.4196
K3 K 0.5062 0.1114 0.5865
K4 K 0.9938 0.1114 0.0865
K5 K 0.4926 0.5529 0.7553
K6 K 0.3280 0.8426 0.0795
Sb6 Sb 0.2338 0.8078 0.7726
K7 K 0.4804 0.2611 0.0775
Sb7 Sb 0.2629 0.2380 0.9196
Sn3 Sn 0.6432 0.4865 0.5867
K8 K 0.1720 0.8426 0.5795
Sb8 Sb 0.8120 0.4834 0.9338
Sn4 Sn 0.1432 0.5135 0.9133
K9 K 0.5196 0.7389 0.9225
K10 K 0.0196 0.2611 0.5775
Sb9 Sb 0.7371 0.7620 0.0804
K11 K 0.1594 0.1640 0.2594
K12 K 0.5074 0.4471 0.2447
K13 K 0.4938 0.8886 0.4135
Sb10 Sb 0.6880 0.4834 0.4338
K14 K 0.0062 0.8886 0.9135
K15 K 0.9804 0.7389 0.4225
Sb11 Sb 0.7629 0.7620 0.5804
K16 K 0.9926 0.4471 0.7447
Sb12 Sb 0.7338 0.1922 0.7274
K17 K 0.0074 0.5529 0.2553
K18 K 0.3406 0.1640 0.7594
K19 K 0.8280 0.1574 0.4205
K20 K 0.8406 0.8360 0.7406
```

Results
E (MP2020) in eV per atom: -2.9219
Formation energy in eV/atom: -0.483
Magnetization in μB/atom: 0.000